#1
VASP calculation (GGA+U) on crystalline Na2CoSiCO7 at its relaxed geometry.

Unit cell a=5.1482 b=11.4544 c=11.4486 alpha=113.08 beta=88.84 gamma=91.13
With the nearest neighbours (Å) after each atom.
Fractional positions:
Na: 0.2400 0.1235 0.8830  5 O 2.32-2.56
Na: 0.2468 0.6202 0.3801  5 O 2.32-2.53
Na: 0.2487 0.3710 0.1295  5 O 2.32-2.54
Na: 0.2394 0.8665 0.6276  5 O 2.32-2.56
Na: 0.7655 0.6341 0.8700  5 O 2.31-2.48
Na: 0.7466 0.1276 0.3738  4 O 2.27-2.43
Na: 0.7617 0.8806 0.1164  5 O 2.31-2.48
Na: 0.7503 0.3752 0.6216  5 O 2.28-2.54
Co: 0.7980 0.0603 0.6903  5 O 1.88-2.10
Co: 0.1944 0.9364 0.3134  4 O 1.87-1.94
Co: 0.8099 0.5731 0.1772  4 O 1.88-1.92
Co: 0.1966 0.4374 0.8115  4 O 1.87-1.94
Si: 0.6771 0.3416 0.9110  4 O 1.63-1.67
Si: 0.6761 0.8385 0.4093  4 O 1.64-1.66
Si: 0.3208 0.6637 0.0861  4 O 1.64-1.65
Si: 0.3220 0.1578 0.5917  4 O 1.63-1.67
C: 0.7395 0.4049 0.3447  3 O 1.28
C: 0.7194 0.9123 0.8387  3 O 1.27-1.31
C: 0.2777 0.5873 0.6591  3 O 1.27-1.30
C: 0.2732 0.0918 0.1618  3 O 1.27-1.30
O: 0.2295 0.1576 0.0966  1 C 1.28
O: 0.2352 0.6527 0.5936  1 C 1.28
O: 0.7665 0.8470 0.9036  1 C 1.27
O: 0.7426 0.3379 0.4113  1 C 1.28
O: 0.9515 0.4410 0.3084  1 C 1.28
O: 0.9182 0.9563 0.7946  1 C 1.31
O: 0.0782 0.5418 0.7002  1 C 1.30
O: 0.0758 0.0501 0.2074  1 C 1.30
O: 0.5214 0.4360 0.3142  1 C 1.28
O: 0.4911 0.9362 0.8150  1 C 1.27
O: 0.5054 0.5650 0.6854  1 C 1.27
O: 0.5025 0.0663 0.1829  1 C 1.27
O: 0.1818 0.5855 0.1645  1 Si 1.64
O: 0.1696 0.0821 0.6678  1 Si 1.63
O: 0.8253 0.4160 0.8323  1 Si 1.63
O: 0.8229 0.9173 0.3342  1 Si 1.64
O: 0.3554 0.3498 0.9044  1 Si 1.67
O: 0.3545 0.8439 0.4011  1 Si 1.66
O: 0.6419 0.6611 0.0891  1 Si 1.65
O: 0.6434 0.1500 0.6002  1 Si 1.67
O: 0.7432 0.1880 0.8524  1 Si 1.66
O: 0.7494 0.6859 0.3455  1 Si 1.66
O: 0.7490 0.4048 0.0638  1 Si 1.66
O: 0.7438 0.8976 0.5626  1 Si 1.66
O: 0.2401 0.6021 0.9350  1 Si 1.65
O: 0.2588 0.0981 0.4381  1 Si 1.65
O: 0.2422 0.8152 0.1488  1 Si 1.65
O: 0.2571 0.3111 0.6504  1 Si 1.65

Values from the calculation:
Crystal system ... triclinic
Space group ... P1, No. 1

---

#2
VASP calculation (GGA+U) on crystalline Na2CoSiCO7 at its relaxed geometry.

Unit cell a=5.1334 b=11.6204 c=11.6134 alpha=114.70 beta=88.92 gamma=91.12
With the nearest neighbours (Å) after each atom.
Fractional positions:
Na: 0.2481 0.1215 0.8792  5 O 2.31-2.47
Na: 0.2481 0.6207 0.3779  5 O 2.30-2.48
Na: 0.2441 0.3718 0.1293  5 O 2.31-2.47
Na: 0.2458 0.8710 0.6279  5 O 2.30-2.48
Na: 0.7562 0.6293 0.8702  5 O 2.34-2.48
Na: 0.7530 0.1283 0.3721  5 O 2.31-2.51
Na: 0.7536 0.8793 0.1203  5 O 2.33-2.48
Na: 0.7508 0.3787 0.6220  5 O 2.31-2.51
Co: 0.8116 0.0696 0.6807  4 O 1.87-1.93
Co: 0.1871 0.9272 0.3226  4 O 1.87-1.92
Co: 0.8133 0.5747 0.1758  4 O 1.87-1.92
Co: 0.1875 0.4253 0.8240  4 O 1.87-1.92
Si: 0.6794 0.3379 0.9133  4 O 1.65-1.66
Si: 0.6780 0.8376 0.4118  4 O 1.65-1.66
Si: 0.3206 0.6626 0.0870  4 O 1.65-1.66
Si: 0.3228 0.1609 0.5891  4 O 1.64-1.66
C: 0.7381 0.4050 0.3451  3 O 1.28
C: 0.7343 0.9076 0.8422  3 O 1.28-1.29
C: 0.2618 0.5948 0.6545  3 O 1.28
C: 0.2642 0.0947 0.1559  3 O 1.28
O: 0.2492 0.1599 0.0907  1 C 1.28
O: 0.2567 0.6605 0.5894  1 C 1.28
O: 0.7648 0.8429 0.9069  1 C 1.28
O: 0.7505 0.3395 0.4100  1 C 1.28
O: 0.9468 0.4427 0.3088  1 C 1.28
O: 0.9349 0.9482 0.8018  1 C 1.29
O: 0.0497 0.5584 0.6891  1 C 1.28
O: 0.0564 0.0575 0.1938  1 C 1.28
O: 0.5162 0.4330 0.3163  1 C 1.28
O: 0.5063 0.9322 0.8175  1 C 1.28
O: 0.4806 0.5655 0.6852  1 C 1.28
O: 0.4865 0.0663 0.1836  1 C 1.28
O: 0.1858 0.5861 0.1648  1 Si 1.65
O: 0.1839 0.0844 0.6658  1 Si 1.64
O: 0.8150 0.4138 0.8351  1 Si 1.65
O: 0.8149 0.9148 0.3352  1 Si 1.65
O: 0.3570 0.3408 0.9107  1 Si 1.66
O: 0.3555 0.8407 0.4079  1 Si 1.66
O: 0.6430 0.6598 0.0897  1 Si 1.66
O: 0.6453 0.1565 0.5940  1 Si 1.66
O: 0.7557 0.1863 0.8483  1 Si 1.65
O: 0.7549 0.6859 0.3453  1 Si 1.65
O: 0.7606 0.4044 0.0643  1 Si 1.65
O: 0.7561 0.9019 0.5632  1 Si 1.65
O: 0.2392 0.5960 0.9359  1 Si 1.65
O: 0.2458 0.0959 0.4373  1 Si 1.65
O: 0.2427 0.8141 0.1533  1 Si 1.65
O: 0.2478 0.3130 0.6549  1 Si 1.66

Values from the calculation:
Crystal system ... triclinic
Space group ... P1, No. 1

---

The structure with the greatest stability is #1.

---

#1
VASP calculation (GGA+U) on crystalline Na2CoSiCO7 at its relaxed geometry.

Unit cell a=6.3079 b=10.2971 c=9.5882 alpha=90.77 beta=90.00 gamma=90.00
With the nearest neighbours (Å) after each atom.
Fractional positions:
Na: 0.0059 0.1275 0.2385  5 O 2.34-2.60
Na: 0.9982 0.6149 0.2415  5 O 2.26-2.47
Na: 0.4941 0.1275 0.2385  5 O 2.34-2.60
Na: 0.5018 0.6149 0.2415  5 O 2.26-2.47
Na: 0.4982 0.3851 0.7585  5 O 2.26-2.47
Na: 0.5059 0.8725 0.7615  5 O 2.34-2.60
Na: 0.0018 0.3851 0.7585  5 O 2.26-2.47
Na: 0.9941 0.8725 0.7615  5 O 2.34-2.60
Co: 0.7500 0.9086 0.3656  4 O 1.86-1.97
Co: 0.2500 0.0914 0.6344  4 O 1.86-1.97
Co: 0.7500 0.3947 0.3988  4 O 1.89-1.92
Co: 0.2500 0.6054 0.6012  4 O 1.89-1.92
Si: 0.2500 0.3366 0.4346  4 O 1.64-1.66
Si: 0.2500 0.8478 0.4245  4 O 1.63-1.66
Si: 0.7500 0.1522 0.5755  4 O 1.63-1.66
Si: 0.7500 0.6634 0.5654  4 O 1.64-1.66
C: 0.7500 0.3646 0.0583  3 O 1.28
C: 0.7500 0.8649 0.0772  3 O 1.27-1.31
C: 0.2500 0.1351 0.9228  3 O 1.27-1.31
C: 0.2500 0.6354 0.9417  3 O 1.28
O: 0.2500 0.1198 0.0543  1 C 1.27
O: 0.2500 0.6323 0.0747  1 C 1.28
O: 0.7500 0.3677 0.9253  1 C 1.28
O: 0.7500 0.8801 0.9457  1 C 1.27
O: 0.7500 0.4700 0.1303  1 C 1.28
O: 0.7500 0.9691 0.1576  1 C 1.31
O: 0.2500 0.0308 0.8424  1 C 1.31
O: 0.2500 0.5300 0.8697  1 C 1.28
O: 0.7500 0.2555 0.1204  1 C 1.28
O: 0.7500 0.7546 0.1357  1 C 1.27
O: 0.2500 0.2454 0.8644  1 C 1.27
O: 0.2500 0.7445 0.8797  1 C 1.28
O: 0.7500 0.0951 0.4156  1 Si 1.63
O: 0.7500 0.5802 0.4183  1 Si 1.64
O: 0.2500 0.4198 0.5817  1 Si 1.64
O: 0.2500 0.9049 0.5843  1 Si 1.63
O: 0.2500 0.1773 0.4590  1 Si 1.66
O: 0.2500 0.6865 0.4237  1 Si 1.66
O: 0.7500 0.3135 0.5763  1 Si 1.66
O: 0.7500 0.8227 0.5410  1 Si 1.66
O: 0.0337 0.3673 0.3426  1 Si 1.66
O: 0.0396 0.8934 0.3351  1 Si 1.65
O: 0.4663 0.3673 0.3426  1 Si 1.66
O: 0.4604 0.8934 0.3351  1 Si 1.65
O: 0.5395 0.1066 0.6649  1 Si 1.65
O: 0.5337 0.6328 0.6574  1 Si 1.66
O: 0.9605 0.1066 0.6649  1 Si 1.65
O: 0.9663 0.6328 0.6574  1 Si 1.66

Values from the calculation:
Crystal system ... monoclinic
Space group ... P2_1/m, No. 11

---

#2
VASP calculation (GGA+U) on crystalline Na2CoSiCO7 at its relaxed geometry.

Unit cell a=6.3339 b=5.1554 c=9.0198 alpha=87.90 beta=90.00 gamma=90.00
With the nearest neighbours (Å) after each atom.
Fractional positions:
Na: 0.9864 0.7626 0.7573  5 O 2.27-2.43
Na: 0.5136 0.7626 0.7573  5 O 2.27-2.43
Na: 0.4864 0.2374 0.2427  5 O 2.27-2.43
Na: 0.0136 0.2374 0.2427  5 O 2.27-2.43
Co: 0.2500 0.2096 0.6577  6 O 1.88-2.00
Co: 0.7500 0.7904 0.3423  6 O 1.88-2.00
Si: 0.7500 0.2883 0.5677  4 O 1.63-1.65
Si: 0.2500 0.7117 0.4323  4 O 1.63-1.65
C: 0.2500 0.2744 0.9200  3 O 1.24-1.32
C: 0.7500 0.7256 0.0800  3 O 1.24-1.32
O: 0.7500 0.6957 0.9438  1 C 1.24
O: 0.2500 0.0497 0.8578  1 C 1.31
O: 0.2500 0.4651 0.8188  1 C 1.32
O: 0.9544 0.2148 0.6747  1 Si 1.65
O: 0.5456 0.2148 0.6747  1 Si 1.65
O: 0.2500 0.8729 0.5850  1 Si 1.63
O: 0.7500 0.6043 0.5301  1 Si 1.65
O: 0.2500 0.3957 0.4699  1 Si 1.65
O: 0.7500 0.1271 0.4150  1 Si 1.63
O: 0.4544 0.7852 0.3253  1 Si 1.65
O: 0.0456 0.7852 0.3253  1 Si 1.65
O: 0.7500 0.5349 0.1812  1 C 1.32
O: 0.7500 0.9503 0.1422  1 C 1.31
O: 0.2500 0.3043 0.0562  1 C 1.24

Values from the calculation:
Crystal system ... monoclinic
Space group ... P2_1/m, No. 11

---

The structure with the greatest stability is #2.